No. 1
Compound: CaC2O5
Source: the Materials Project database
Functional: PBE
Structure: relaxed

Lattice parameters (Å, degrees): 6.224 6.224 6.282 75.89 75.89 72.86
Atoms (fractional coordinates):
C: 0.606 0.394 0.000
O: 0.428 0.795 0.007
Ca: 0.190 0.190 0.988
Ca: 0.810 0.810 0.012
O: 0.643 0.643 0.419
O: 0.952 0.952 0.253
O: 0.048 0.048 0.747
O: 0.357 0.357 0.581
C: 0.068 0.068 0.539
O: 0.572 0.205 0.993
O: 0.205 0.572 0.993
O: 0.817 0.817 0.614
O: 0.183 0.183 0.386
C: 0.394 0.606 0.000
O: 0.795 0.428 0.007
C: 0.932 0.932 0.461

Computed properties:
Relative energy among the computed polymorphs in eV/atom: 0.000

=====

No. 2
Compound: Ca10P6CO27
Source: the Materials Project database
Functional: PBE
Structure: relaxed

Lattice parameters (Å, degrees): 6.935 9.474 9.670 118.07 89.77 90.91
Atoms (fractional coordinates):
Ca: 0.022 0.337 0.683
O: 0.546 0.098 0.398
O: 0.256 0.526 0.855
O: 0.576 0.252 0.906
O: 0.499 0.127 0.137
O: 0.764 0.469 0.147
O: 0.250 0.535 0.125
Ca: 0.990 0.678 0.320
Ca: 0.259 0.247 0.994
P: 0.760 0.596 0.627
O: 0.252 0.343 0.502
O: 0.935 0.242 0.917
O: 0.464 0.422 0.331
O: 0.178 0.580 0.454
O: 0.563 0.608 0.707
P: 0.256 0.637 0.035
O: 0.644 0.935 0.927
P: 0.253 0.971 0.598
P: 0.257 0.406 0.380
P: 0.746 0.028 0.394
Ca: 0.516 0.330 0.660
O: 0.737 0.842 0.327
Ca: 0.252 0.720 0.723
O: 0.315 0.958 0.945
Ca: 0.242 0.020 0.252
C: 0.489 0.004 0.001
O: 0.438 0.748 0.092
P: 0.761 0.357 0.967
O: 0.888 0.063 0.288
O: 0.759 0.672 0.515
O: 0.918 0.677 0.756
O: 0.076 0.747 0.089
O: 0.127 0.292 0.239
O: 0.816 0.110 0.569
O: 0.088 0.917 0.672
O: 0.216 0.897 0.417
Ca: 0.758 0.743 0.999
Ca: 0.491 0.677 0.344
Ca: 0.764 0.981 0.724
O: 0.267 0.158 0.681
O: 0.443 0.895 0.616
O: 0.803 0.412 0.537
O: 0.774 0.459 0.878
Ca: 0.764 0.284 0.268

=====

No. 3
Compound: Ca5P3CO12
Source: the Materials Project database
Functional: PBE
Structure: relaxed

Lattice parameters (Å, degrees): 9.718 9.718 6.822 90.00 90.00 120.00
Atoms (fractional coordinates):
O: 0.912 0.260 0.067
O: 0.740 0.652 0.067
O: 0.912 0.260 0.433
O: 0.874 0.462 0.250
O: 0.652 0.912 0.933
O: 0.412 0.874 0.750
P: 0.401 0.032 0.250
Ca: 0.667 0.333 0.502
Ca: 0.737 0.741 0.750
Ca: 0.333 0.667 0.498
O: 0.260 0.348 0.933
O: 0.088 0.740 0.567
Ca: 0.263 0.259 0.250
C: 0.000 0.000 0.250
Ca: 0.667 0.333 0.998
Ca: 0.004 0.263 0.750
O: 0.486 0.336 0.750
O: 0.514 0.664 0.250
Ca: 0.333 0.667 0.002
P: 0.599 0.968 0.750
O: 0.664 0.150 0.750
O: 0.462 0.588 0.750
Ca: 0.996 0.737 0.250
O: 0.150 0.486 0.250
P: 0.631 0.599 0.250
O: 0.088 0.740 0.933
O: 0.336 0.850 0.250
O: 0.126 0.538 0.750
P: 0.968 0.369 0.250
O: 0.588 0.126 0.250
O: 0.348 0.088 0.433
P: 0.369 0.401 0.750
P: 0.032 0.631 0.750
O: 0.652 0.912 0.567
O: 0.260 0.348 0.567
O: 0.850 0.514 0.750
O: 0.538 0.412 0.250
O: 0.740 0.652 0.433
O: 0.348 0.088 0.067
Ca: 0.741 0.004 0.250
C: 0.000 0.000 0.750
Ca: 0.259 0.996 0.750

=====

No. 4
Compound: CaC4S4O4
Source: the Materials Project database
Functional: PBE
Structure: relaxed

Lattice parameters (Å, degrees): 8.934 10.206 10.530 90.00 90.00 121.85
Atoms (fractional coordinates):
C: 0.633 0.348 0.678
O: 0.743 0.797 0.968
S: 0.842 0.917 0.427
O: 0.996 0.107 0.250
C: 0.894 0.680 0.321
C: 0.883 0.816 0.319
O: 0.663 0.996 0.750
O: 0.246 0.792 0.960
O: 0.004 0.893 0.750
C: 0.648 0.213 0.819
S: 0.375 0.530 0.418
Ca: 0.705 0.788 0.750
O: 0.743 0.797 0.532
S: 0.318 0.898 0.082
S: 0.318 0.898 0.418
C: 0.106 0.320 0.679
O: 0.257 0.203 0.468
S: 0.160 0.492 0.876
S: 0.158 0.083 0.927
O: 0.754 0.208 0.460
S: 0.682 0.102 0.582
C: 0.117 0.184 0.681
Ca: 0.822 0.195 0.250
S: 0.840 0.508 0.376
S: 0.625 0.470 0.918
S: 0.840 0.508 0.124
S: 0.375 0.530 0.082
C: 0.367 0.652 0.322
C: 0.106 0.320 0.821
S: 0.682 0.102 0.918
S: 0.160 0.492 0.624
S: 0.625 0.470 0.582
O: 0.038 0.510 0.750
O: 0.962 0.490 0.250
S: 0.158 0.083 0.573
C: 0.883 0.816 0.181
C: 0.117 0.184 0.819
S: 0.842 0.917 0.073
O: 0.246 0.792 0.540
C: 0.633 0.348 0.822
Ca: 0.295 0.212 0.250
O: 0.754 0.208 0.040
O: 0.337 0.625 0.750
C: 0.648 0.213 0.681
C: 0.352 0.787 0.181
C: 0.352 0.787 0.319
Ca: 0.178 0.805 0.750
C: 0.367 0.652 0.178
O: 0.337 0.004 0.250
O: 0.663 0.375 0.250
C: 0.894 0.680 0.179
O: 0.257 0.203 0.032

=====

No. 5
Compound: Ca3SiCSO24
Source: the Materials Project database
Functional: PBE
Structure: relaxed

Lattice parameters (Å, degrees): 9.918 10.045 10.048 60.02 90.00 90.00
Atoms (fractional coordinates):
S: 0.474 0.668 0.666
O: 0.029 0.386 0.174
O: 0.750 0.398 0.002
Ca: 0.757 0.996 0.212
O: 0.974 0.311 0.686
O: 0.529 0.614 0.826
O: 0.028 0.439 0.387
O: 0.974 0.684 0.003
O: 0.019 0.803 0.650
O: 0.519 0.452 0.198
O: 0.019 0.548 0.802
O: 0.828 0.335 0.332
Si: 0.986 0.000 0.000
O: 0.974 0.003 0.312
O: 0.474 0.997 0.688
O: 0.250 0.998 0.400
O: 0.019 0.650 0.548
O: 0.700 0.113 0.615
O: 0.700 0.615 0.271
O: 0.421 0.867 0.969
O: 0.527 0.827 0.559
O: 0.250 0.602 0.998
O: 0.519 0.197 0.350
O: 0.421 0.164 0.867
O: 0.474 0.316 0.997
O: 0.207 0.340 0.327
O: 0.921 0.836 0.133
C: 0.020 0.667 0.666
O: 0.921 0.031 0.836
O: 0.699 0.272 0.112
O: 0.421 0.969 0.164
O: 0.328 0.665 0.668
O: 0.528 0.561 0.613
Si: 0.486 0.000 0.000
O: 0.766 0.871 0.725
O: 0.474 0.689 0.314
Ca: 0.257 0.004 0.788
O: 0.152 0.000 0.000
Ca: 0.757 0.212 0.793
O: 0.200 0.385 0.729
O: 0.200 0.887 0.385
O: 0.652 0.000 0.000
Ca: 0.257 0.788 0.207
O: 0.765 0.726 0.403
S: 0.974 0.332 0.334
O: 0.921 0.133 0.031
Ca: 0.258 0.207 0.005
O: 0.749 0.601 0.396
O: 0.767 0.404 0.870
C: 0.520 0.333 0.334
O: 0.027 0.173 0.441
O: 0.266 0.129 0.275
Ca: 0.758 0.793 0.995
O: 0.707 0.660 0.673
O: 0.267 0.596 0.130
O: 0.265 0.274 0.597
O: 0.750 0.002 0.600
O: 0.199 0.728 0.888
O: 0.249 0.399 0.604
O: 0.519 0.350 0.452

=====

No. 6
Compound: Ca3SiCSO25
Source: the Materials Project database
Functional: PBE
Structure: relaxed

Lattice parameters (Å, degrees): 10.541 10.642 10.646 62.83 90.00 90.00
Atoms (fractional coordinates):
O: 0.081 0.030 0.704
Ca: 0.219 0.270 0.048
O: 0.434 0.603 0.708
O: 0.715 0.865 0.063
O: 0.499 0.228 0.400
O: 0.524 0.281 0.807
O: 0.997 0.542 0.655
O: 0.450 0.592 0.249
O: 0.084 0.211 0.420
O: 0.215 0.135 0.937
O: 0.791 0.960 0.586
O: 0.490 0.777 0.998
O: 0.584 0.789 0.580
S: 0.568 0.645 0.696
O: 0.796 0.681 0.386
Si: 0.626 0.005 0.970
O: 0.918 0.714 0.860
Ca: 0.327 0.038 0.821
O: 0.614 0.639 0.833
Ca: 0.827 0.962 0.179
O: 0.807 0.088 0.522
O: 0.659 0.017 0.799
O: 0.479 0.907 0.000
O: 0.990 0.854 0.117
O: 0.202 0.878 0.999
S: 0.068 0.355 0.304
O: 0.932 0.604 0.822
Si: 0.126 0.995 0.030
O: 0.950 0.408 0.751
O: 0.265 0.422 0.632
O: 0.581 0.970 0.296
O: 0.990 0.223 0.002
C: 0.476 0.348 0.314
O: 0.296 0.319 0.614
O: 0.307 0.912 0.478
O: 0.149 0.458 0.329
O: 0.114 0.361 0.167
Ca: 0.719 0.730 0.952
O: 0.271 0.592 0.968
O: 0.234 0.678 0.849
O: 0.418 0.286 0.140
O: 0.291 0.040 0.414
O: 0.557 0.033 0.716
C: 0.976 0.652 0.686
O: 0.771 0.408 0.032
O: 0.988 0.025 0.775
O: 0.159 0.983 0.201
O: 0.765 0.578 0.368
O: 0.934 0.397 0.292
O: 0.999 0.772 0.600
O: 0.702 0.122 0.001
O: 0.024 0.719 0.193
O: 0.432 0.396 0.178
O: 0.649 0.542 0.671
Ca: 0.247 0.659 0.173
O: 0.057 0.967 0.284
O: 0.488 0.975 0.225
O: 0.734 0.322 0.151
O: 0.979 0.093 0.000
Ca: 0.747 0.341 0.827
O: 0.497 0.458 0.345
O: 0.490 0.146 0.883

=====

No. 7
Compound: Ca5Si2C2O13
Source: the Materials Project database
Functional: PBE
Structure: relaxed

Lattice parameters (Å, degrees): 10.378 7.629 15.318 74.77 90.00 90.00
Atoms (fractional coordinates):
Ca: 0.411 0.955 0.126
O: 0.976 0.055 0.901
O: 0.208 0.299 0.929
O: 0.524 0.055 0.401
O: 0.532 0.885 0.774
O: 0.030 0.448 0.102
O: 0.476 0.945 0.599
O: 0.708 0.701 0.571
O: 0.024 0.945 0.099
Si: 0.084 0.431 0.203
O: 0.827 0.276 0.443
O: 0.974 0.323 0.276
O: 0.878 0.521 0.574
Ca: 0.710 0.392 0.681
C: 0.689 0.660 0.031
O: 0.340 0.251 0.050
O: 0.624 0.040 0.060
Ca: 0.080 0.441 0.639
O: 0.660 0.749 0.950
O: 0.292 0.299 0.429
O: 0.124 0.960 0.440
O: 0.084 0.635 0.226
O: 0.970 0.552 0.898
O: 0.275 0.914 0.726
O: 0.294 0.786 0.430
Ca: 0.580 0.559 0.861
O: 0.916 0.365 0.774
O: 0.876 0.040 0.560
Ca: 0.212 0.090 0.824
O: 0.775 0.086 0.774
O: 0.474 0.677 0.224
C: 0.195 0.820 0.476
O: 0.622 0.521 0.074
Ca: 0.712 0.910 0.676
Ca: 0.589 0.045 0.874
Si: 0.421 0.862 0.701
Ca: 0.505 0.749 0.496
O: 0.733 0.633 0.272
O: 0.968 0.885 0.274
Ca: 0.288 0.090 0.324
O: 0.794 0.214 0.070
O: 0.233 0.367 0.228
O: 0.225 0.914 0.226
Ca: 0.210 0.608 0.819
C: 0.811 0.660 0.531
O: 0.725 0.086 0.274
Si: 0.579 0.138 0.299
C: 0.189 0.340 0.469
Si: 0.584 0.569 0.297
O: 0.160 0.251 0.550
O: 0.530 0.552 0.398
C: 0.305 0.820 0.976
Ca: 0.290 0.608 0.319
O: 0.584 0.365 0.274
Si: 0.079 0.862 0.201
O: 0.376 0.960 0.940
O: 0.416 0.635 0.726
O: 0.173 0.724 0.557
O: 0.767 0.633 0.772
O: 0.526 0.323 0.776
O: 0.470 0.448 0.602
Ca: 0.005 0.251 0.004
O: 0.378 0.479 0.926
Ca: 0.089 0.955 0.626
O: 0.792 0.701 0.071
C: 0.695 0.180 0.024
O: 0.706 0.214 0.570
O: 0.122 0.479 0.426
C: 0.311 0.340 0.969
C: 0.805 0.180 0.524
O: 0.026 0.677 0.724
Si: 0.416 0.431 0.703
Si: 0.916 0.569 0.797
Ca: 0.495 0.251 0.504
Ca: 0.911 0.045 0.374
Ca: 0.420 0.441 0.139
O: 0.468 0.115 0.226
O: 0.673 0.276 0.943
O: 0.032 0.115 0.726
Ca: 0.995 0.749 0.996
Ca: 0.788 0.910 0.176
Ca: 0.920 0.559 0.361
O: 0.840 0.749 0.450
O: 0.267 0.367 0.728
Si: 0.921 0.138 0.799
O: 0.327 0.724 0.057
Ca: 0.790 0.392 0.181
O: 0.206 0.786 0.930

=====

Ordered final energy results: -6.96, -7.27, -7.02, -5.96, -5.42, -5.67, -7.41; unit eV per atom.
Ordered energy of formation from the pure elements results: -1740, -3254, -2893, -385, -633, -1014, -3107; unit meV per atom.